Density functional theory data (meta-GGA r2SCAN) for a relaxed TiZnPt2 crystal.

Structure (POSCAR):
```
TiZnPt2
1.0
0.000 3.107 3.107
3.107 0.000 3.107
3.107 3.107 0.000
Ti Zn Pt
1 1 2
Direct
0.000 0.000 0.000
0.500 0.500 0.500
0.250 0.250 0.250
0.750 0.750 0.750
```

E in Ry per atom: -2.35381